No. 1
# Na5Bi2AsC4O16

Na5Bi2AsC4O16 after structural relaxation (PBE, Materials Project).

Cell lengths 10.469, 10.470, 18.114 Å; angles 73.98, 73.21, 60.23 degrees
Space group P1 (No. 1)
One atom of each set of equivalent atoms:
Na 0.000 0.000 0.000 x1
Na 0.000 0.393 0.999 x1
Na 0.066 0.074 0.180 x1
Na 0.102 0.894 0.497 x1
Na 0.179 0.575 0.679 x1
Na 0.179 0.958 0.681 x1
Na 0.197 0.202 0.805 x1
Na 0.303 0.090 0.303 x1
Na 0.304 0.697 0.303 x1
Na 0.371 0.769 0.873 x1
Na 0.487 0.267 0.373 x1
Na 0.499 0.505 0.502 x1
Na 0.505 0.888 0.499 x1
Na 0.608 0.393 0.999 x1
Na 0.680 0.073 0.179 x1
Na 0.695 0.697 0.304 x1
Na 0.791 0.210 0.803 x1
Na 0.798 0.588 0.802 x1
Na 0.873 0.267 0.373 x1
Na 0.987 0.767 0.873 x1
Bi 0.085 0.492 0.338 x1
Bi 0.339 0.238 0.084 x1
Bi 0.342 0.229 0.589 x1
Bi 0.346 0.725 0.091 x1
Bi 0.585 0.993 0.838 x1
Bi 0.834 0.237 0.591 x1
Bi 0.834 0.733 0.587 x1
Bi 0.837 0.725 0.092 x1
As 0.278 0.669 0.776 x1
As 0.400 0.797 0.401 x1
As 0.777 0.170 0.276 x1
As 0.902 0.294 0.901 x1
C 0.008 0.784 0.198 x1
C 0.010 0.401 0.200 x1
C 0.171 0.179 0.478 x1
C 0.177 0.560 0.480 x1
C 0.199 0.595 0.008 x1
C 0.283 0.061 0.980 x1
C 0.390 0.400 0.199 x1
C 0.475 0.878 0.171 x1
C 0.506 0.283 0.699 x1
C 0.506 0.905 0.699 x1
C 0.672 0.681 0.975 x1
C 0.677 0.060 0.979 x1
C 0.699 0.093 0.509 x1
C 0.784 0.561 0.476 x1
C 0.891 0.902 0.699 x1
C 0.983 0.371 0.671 x1
O 0.001 0.397 0.868 x1
O 0.003 0.127 0.866 x1
O 0.048 0.171 0.485 x1
O 0.061 0.346 0.265 x1
O 0.070 0.606 0.007 x1
O 0.079 0.329 0.141 x1
O 0.102 0.634 0.538 x1
O 0.115 0.354 0.673 x1
O 0.130 0.611 0.413 x1
O 0.131 0.792 0.193 x1
O 0.163 0.582 0.806 x1
O 0.173 0.841 0.811 x1
O 0.211 0.715 0.006 x1
O 0.223 0.245 0.413 x1
O 0.226 0.987 0.038 x1
O 0.234 0.897 0.367 x1
O 0.244 0.119 0.536 x1
O 0.273 0.185 0.987 x1
O 0.294 0.712 0.675 x1
O 0.300 0.437 0.487 x1
O 0.316 0.467 0.013 x1
O 0.328 0.453 0.265 x1
O 0.348 0.010 0.913 x1
O 0.360 0.009 0.171 x1
O 0.363 0.766 0.502 x1
O 0.378 0.025 0.695 x1
O 0.399 0.273 0.194 x1
O 0.436 0.350 0.640 x1
O 0.439 0.580 0.813 x1
O 0.443 0.471 0.138 x1
O 0.450 0.215 0.761 x1
O 0.459 0.762 0.173 x1
O 0.501 0.897 0.368 x1
O 0.502 0.627 0.369 x1
O 0.549 0.673 0.982 x1
O 0.558 0.851 0.764 x1
O 0.571 0.105 0.506 x1
O 0.579 0.841 0.638 x1
O 0.604 0.134 0.038 x1
O 0.606 0.862 0.172 x1
O 0.629 0.112 0.914 x1
O 0.634 0.280 0.696 x1
O 0.663 0.082 0.305 x1
O 0.676 0.330 0.319 x1
O 0.711 0.214 0.506 x1
O 0.722 0.747 0.909 x1
O 0.725 0.488 0.533 x1
O 0.733 0.396 0.870 x1
O 0.747 0.621 0.032 x1
O 0.775 0.685 0.484 x1
O 0.800 0.937 0.987 x1
O 0.816 0.965 0.514 x1
O 0.820 0.185 0.175 x1
O 0.827 0.953 0.765 x1
O 0.851 0.510 0.410 x1
O 0.869 0.501 0.671 x1
O 0.871 0.259 0.002 x1
O 0.891 0.527 0.195 x1
O 0.898 0.779 0.692 x1
O 0.936 0.846 0.140 x1
O 0.949 0.082 0.306 x1
O 0.950 0.974 0.641 x1
O 0.956 0.714 0.260 x1
O 0.968 0.254 0.672 x1

Summary:
Calculated formation energy, eV per atom: -1.857
Crystal system: triclinic
Calculated total energy, eV for the cell shown: -704.53

=====

No. 2
# SnP4O12

SnP4O12 after structural relaxation (PBE, Materials Project).

Cell lengths 12.584, 8.329, 10.129 Å; angles 90.00, 116.70, 90.00 degrees
Space group C2/c (No. 15)
One atom of each set of equivalent atoms:
Sn 0.250 0.250 0.000 x4
P 0.004 0.245 0.030 x8
P 0.175 0.016 0.684 x8
O 0.011 0.387 0.398 x8
O 0.065 0.098 0.152 x8
O 0.071 0.242 0.934 x8
O 0.125 0.165 0.575 x8
O 0.225 0.072 0.842 x8
O 0.234 0.430 0.850 x8

Summary:
Calculated formation energy, eV per atom: -2.459
Crystal system: monoclinic
Calculated total energy, eV for the cell shown: -474.41

=====

No. 3
# Mg14MnCr

Mg14MnCr after structural relaxation (PBE, Materials Project).

Cell lengths 10.065, 6.299, 10.862 Å; angles 90.00, 90.00, 90.00 degrees
Space group Amm2 (No. 38)
One atom of each set of equivalent atoms:
Mg 0.000 0.000 0.000 x2
Mg 0.000 0.000 0.500 x2
Mg 0.000 0.250 0.251 x4
Mg 0.253 0.000 0.165 x4
Mg 0.253 0.000 0.665 x4
Mg 0.260 0.249 0.420 x8
Mg 0.500 0.250 0.251 x4
Mn 0.500 0.000 0.500 x2
Cr 0.500 0.000 0.998 x2

Summary:
Calculated formation energy, eV per atom: 0.128
Crystal system: orthorhombic
Calculated total energy, eV for the cell shown: -78.36